Record 1
Below is a relaxed Rb2EuF5 crystal, with properties calculated at the r2SCAN level.

Cell: 11.290 7.564 6.821 Å, 90.00 90.00 90.00°
Positions (direct):
Rb1 0.170 0.003 0.036
Rb2 0.170 0.497 0.036
Rb3 0.330 0.503 0.536
Rb4 0.330 0.997 0.536
Rb5 0.670 0.003 0.464
Rb6 0.670 0.497 0.464
Rb7 0.830 0.503 0.964
Rb8 0.830 0.997 0.964
Eu1 0.001 0.250 0.557
Eu2 0.499 0.750 0.057
Eu3 0.501 0.250 0.943
Eu4 0.999 0.750 0.443
F1 0.013 0.250 0.886
F2 0.076 0.531 0.644
F3 0.076 0.969 0.644
F4 0.165 0.250 0.372
F5 0.188 0.750 0.344
F6 0.312 0.250 0.844
F7 0.335 0.750 0.872
F8 0.424 0.031 0.144
F9 0.424 0.469 0.144
F10 0.487 0.750 0.386
F11 0.513 0.250 0.614
F12 0.576 0.531 0.856
F13 0.576 0.969 0.856
F14 0.665 0.250 0.128
F15 0.688 0.750 0.156
F16 0.812 0.250 0.656
F17 0.835 0.750 0.628
F18 0.924 0.031 0.356
F19 0.924 0.469 0.356
F20 0.987 0.750 0.114

Results
* ΔE_f: -3440.0 meV/atom
* total moment: 0.750 μB per atom

=====

Record 2
Below is a relaxed CeCuGe2 crystal, with properties calculated at the r2SCAN level.

Cell: 4.341 16.981 4.235 Å, 90.00 90.00 90.00°
Positions (direct):
Ce1 0.000 0.106 0.250
Ce2 0.000 0.894 0.750
Ce3 0.500 0.394 0.750
Ce4 0.500 0.606 0.250
Cu1 0.000 0.322 0.250
Cu2 0.000 0.678 0.750
Cu3 0.500 0.178 0.750
Cu4 0.500 0.822 0.250
Ge1 0.000 0.249 0.750
Ge2 0.000 0.461 0.250
Ge3 0.000 0.539 0.750
Ge4 0.000 0.751 0.250
Ge5 0.500 0.039 0.750
Ge6 0.500 0.251 0.250
Ge7 0.500 0.749 0.750
Ge8 0.500 0.961 0.250

Results
* ΔE_f: -624.5 meV/atom
* total moment: 0.244 μB per atom

=====

Record 3
Below is a relaxed UMn5P3 crystal, with properties calculated at the r2SCAN level.

Cell: 12.408 3.590 10.923 Å, 90.00 90.00 90.00°
Positions (direct):
U1 0.204 0.250 0.089
U2 0.296 0.750 0.589
U3 0.704 0.250 0.411
U4 0.796 0.750 0.911
Mn1 0.011 0.750 0.092
Mn2 0.023 0.750 0.713
Mn3 0.064 0.750 0.466
Mn4 0.184 0.250 0.787
Mn5 0.193 0.250 0.386
Mn6 0.307 0.750 0.886
Mn7 0.316 0.750 0.287
Mn8 0.436 0.250 0.966
Mn9 0.477 0.250 0.213
Mn10 0.489 0.250 0.592
Mn11 0.511 0.750 0.408
Mn12 0.523 0.750 0.787
Mn13 0.564 0.750 0.034
Mn14 0.684 0.250 0.713
Mn15 0.693 0.250 0.114
Mn16 0.807 0.750 0.614
Mn17 0.816 0.750 0.213
Mn18 0.936 0.250 0.534
Mn19 0.977 0.250 0.287
Mn20 0.989 0.250 0.908
P1 0.116 0.250 0.588
P2 0.118 0.750 0.908
P3 0.124 0.750 0.270
P4 0.376 0.250 0.770
P5 0.382 0.250 0.408
P6 0.384 0.750 0.088
P7 0.616 0.250 0.912
P8 0.618 0.750 0.592
P9 0.624 0.750 0.230
P10 0.876 0.250 0.730
P11 0.882 0.250 0.092
P12 0.884 0.750 0.412

Results
* ΔE_f: -724.3 meV/atom
* total moment: 1.072 μB per atom

=====

Record 4
Below is a relaxed NaAlI4 crystal, with properties calculated at the r2SCAN level.

Cell: 14.907 8.250 8.237 Å, 90.00 90.00 90.00°
Positions (direct):
Na1 0.152 0.250 0.053
Na2 0.348 0.750 0.553
Na3 0.652 0.250 0.447
Na4 0.848 0.750 0.947
Al1 0.102 0.750 0.804
Al2 0.398 0.250 0.304
Al3 0.602 0.750 0.696
Al4 0.898 0.250 0.196
I1 0.035 0.250 0.377
I2 0.052 0.750 0.100
I3 0.201 0.504 0.743
I4 0.201 0.996 0.743
I5 0.299 0.004 0.243
I6 0.299 0.496 0.243
I7 0.448 0.250 0.600
I8 0.465 0.750 0.877
I9 0.535 0.250 0.123
I10 0.552 0.750 0.400
I11 0.701 0.504 0.757
I12 0.701 0.996 0.757
I13 0.799 0.004 0.257
I14 0.799 0.496 0.257
I15 0.948 0.250 0.900
I16 0.965 0.750 0.623

Results
* ΔE_f: -1041.5 meV/atom
* total moment: 0.000 μB per atom

=====

Record 5
Below is a relaxed HoAl2 crystal, with properties calculated at the r2SCAN level.

Cell: 5.518 5.518 5.518 Å, 60.00 60.00 60.00°
Positions (direct):
Ho1 0.125 0.125 0.125
Ho2 0.875 0.875 0.875
Al1 0.000 0.500 0.500
Al2 0.500 0.000 0.500
Al3 0.500 0.500 0.000
Al4 0.500 0.500 0.500

Results
* ΔE_f: -581.3 meV/atom
* total moment: 0.000 μB per atom

=====

Record 6
Below is a relaxed BaCd2 crystal, with properties calculated at the r2SCAN level.

Cell: 5.295 8.381 8.656 Å, 90.00 90.00 90.00°
Positions (direct):
Ba1 0.000 0.250 0.049
Ba2 0.000 0.750 0.951
Ba3 0.500 0.250 0.451
Ba4 0.500 0.750 0.549
Cd1 0.000 0.062 0.664
Cd2 0.000 0.438 0.664
Cd3 0.000 0.562 0.336
Cd4 0.000 0.938 0.336
Cd5 0.500 0.062 0.836
Cd6 0.500 0.438 0.836
Cd7 0.500 0.562 0.164
Cd8 0.500 0.938 0.164

Results
* ΔE_f: -341.9 meV/atom
* total moment: 0.000 μB per atom

=====

Record 7
Below is a relaxed Cr2P3O11 crystal, with properties calculated at the r2SCAN level.

Cell: 7.063 7.063 8.678 Å, 108.92 108.92 72.53°
Positions (direct):
Cr1 0.113 0.635 0.960
Cr2 0.365 0.887 0.540
Cr3 0.635 0.113 0.460
Cr4 0.887 0.365 0.040
P1 0.042 0.958 0.750
P2 0.326 0.454 0.290
P3 0.454 0.326 0.790
P4 0.546 0.674 0.210
P5 0.674 0.546 0.710
P6 0.958 0.042 0.250
O1 0.020 0.133 0.905
O2 0.052 0.757 0.786
O3 0.133 0.020 0.405
O4 0.151 0.468 0.128
O5 0.243 0.948 0.714
O6 0.247 0.381 0.825
O7 0.279 0.632 0.436
O8 0.368 0.721 0.064
O9 0.381 0.247 0.325
O10 0.468 0.151 0.628
O11 0.480 0.520 0.750
O12 0.520 0.480 0.250
O13 0.532 0.849 0.372
O14 0.619 0.753 0.675
O15 0.632 0.279 0.936
O16 0.721 0.368 0.564
O17 0.753 0.619 0.175
O18 0.757 0.052 0.286
O19 0.849 0.532 0.872
O20 0.867 0.980 0.595
O21 0.948 0.243 0.214
O22 0.980 0.867 0.095

Results
* ΔE_f: -2343.1 meV/atom
* total moment: 0.312 μB per atom

=====

Record 8
Below is a relaxed RbCaSb crystal, with properties calculated at the r2SCAN level.

Cell: 5.389 5.389 8.528 Å, 90.00 90.00 90.00°
Positions (direct):
Rb1 0.250 0.250 0.134
Rb2 0.750 0.750 0.866
Ca1 0.250 0.750 0.500
Ca2 0.750 0.250 0.500
Sb1 0.250 0.250 0.696
Sb2 0.750 0.750 0.304

Results
* ΔE_f: -983.6 meV/atom
* total moment: 0.000 μB per atom

=====

Record 9
Below is a relaxed NdSi2Ag2 crystal, with properties calculated at the r2SCAN level.

Cell: 4.229 4.229 10.685 Å, 90.00 90.00 90.00°
Positions (direct):
Nd1 0.000 0.000 0.000
Nd2 0.500 0.500 0.500
Si1 0.000 0.000 0.392
Si2 0.000 0.000 0.608
Si3 0.500 0.500 0.108
Si4 0.500 0.500 0.892
Ag1 0.000 0.500 0.250
Ag2 0.000 0.500 0.750
Ag3 0.500 0.000 0.250
Ag4 0.500 0.000 0.750

Results
* ΔE_f: -468.6 meV/atom
* total moment: 0.000 μB per atom

=====

Record 10
Below is a relaxed NdSnAu crystal, with properties calculated at the r2SCAN level.

Cell: 4.744 4.744 7.707 Å, 90.00 90.00 120.00°
Positions (direct):
Nd1 0.000 0.000 0.000
Nd2 0.000 0.000 0.500
Sn1 0.333 0.667 0.225
Sn2 0.667 0.333 0.725
Au1 0.333 0.667 0.817
Au2 0.667 0.333 0.317

Results
* ΔE_f: -935.4 meV/atom
* total moment: 0.000 μB per atom

=====

Record 11
Below is a relaxed LaCuS2 crystal, with properties calculated at the r2SCAN level.

Cell: 6.593 7.299 6.939 Å, 90.00 97.93 90.00°
Positions (direct):
La1 0.189 0.053 0.300
La2 0.189 0.447 0.800
La3 0.811 0.553 0.200
La4 0.811 0.947 0.700
Cu1 0.431 0.664 0.454
Cu2 0.431 0.836 0.954
Cu3 0.569 0.164 0.046
Cu4 0.569 0.336 0.546
S1 0.093 0.726 0.499
S2 0.093 0.774 0.999
S3 0.414 0.116 0.724
S4 0.414 0.384 0.224
S5 0.586 0.616 0.776
S6 0.586 0.884 0.276
S7 0.907 0.226 0.001
S8 0.907 0.274 0.501

Results
* ΔE_f: -1686.3 meV/atom
* total moment: 0.000 μB per atom

=====

Record 12
Below is a relaxed VCrO3 crystal, with properties calculated at the r2SCAN level.

Cell: 5.038 5.402 8.656 Å, 74.49 89.98 62.35°
Positions (direct):
V1 0.000 0.000 0.000
V2 0.059 0.894 0.347
V3 0.299 0.401 0.094
V4 0.509 0.002 0.496
Cr1 0.259 0.497 0.748
Cr2 0.553 0.902 0.846
Cr3 0.757 0.494 0.247
Cr4 0.806 0.404 0.598
O1 0.209 0.203 0.295
O2 0.253 0.203 0.645
O3 0.258 0.198 0.949
O4 0.306 0.705 0.894
O5 0.314 0.695 0.199
O6 0.355 0.696 0.549
O7 0.709 0.200 0.797
O8 0.753 0.202 0.144
O9 0.757 0.200 0.451
O10 0.811 0.696 0.394
O11 0.811 0.698 0.700
O12 0.843 0.701 0.047

Results
* ΔE_f: -2513.9 meV/atom
* total moment: 1.000 μB per atom